Compound: LaTaP2SO12
Source: the Materials Project
Functional: PBE
Structure: optimized geometry

Structure (CIF):
```
data_LaTaP2SO12
_cell_length_a 9.283
_cell_length_b 9.257
_cell_length_c 22.754
_cell_angle_alpha 90.77
_cell_angle_beta 90.00
_cell_angle_gamma 120.09
_symmetry_space_group_name_H-M 'P 1'
_symmetry_Int_Tables_number 1
_symmetry_space_group_name_Hall 'P 1'
loop_
_atom_site_label
_atom_site_type_symbol
_atom_site_fract_x
_atom_site_fract_y
_atom_site_fract_z
La1 La 0.998 0.003 0.369
La2 La 0.005 0.003 0.869
La3 La 0.665 0.336 0.703
La4 La 0.671 0.336 0.203
La5 La 0.331 0.669 0.036
La6 La 0.338 0.669 0.536
Ta1 Ta 0.991 0.007 0.643
Ta2 Ta 0.016 0.007 0.143
Ta3 Ta 0.657 0.340 0.977
Ta4 Ta 0.683 0.340 0.477
Ta5 Ta 0.324 0.673 0.310
Ta6 Ta 0.350 0.673 0.810
P1 P 0.263 0.968 0.249
P2 P 0.039 0.298 0.250
P3 P 0.258 0.298 0.750
P4 P 0.705 0.968 0.749
P5 P 0.929 0.301 0.583
P6 P 0.706 0.631 0.584
P7 P 0.925 0.631 0.084
P8 P 0.372 0.301 0.083
P9 P 0.596 0.635 0.916
P10 P 0.373 0.964 0.917
P11 P 0.592 0.964 0.417
P12 P 0.039 0.635 0.416
S1 S 0.693 0.738 0.250
S2 S 0.045 0.738 0.750
S3 S 0.360 0.072 0.583
S4 S 0.712 0.072 0.083
S5 S 0.027 0.405 0.916
S6 S 0.378 0.405 0.416
O1 O 0.191 0.002 0.303
O2 O 0.794 0.801 0.303
O3 O 0.003 0.194 0.304
O4 O 0.190 0.194 0.804
O5 O 0.008 0.801 0.803
O6 O 0.810 0.002 0.803
O7 O 0.798 0.940 0.695
O8 O 0.137 0.199 0.696
O9 O 0.067 0.846 0.698
O10 O 0.779 0.846 0.198
O11 O 0.063 0.199 0.196
O12 O 0.143 0.940 0.195
O13 O 0.858 0.335 0.637
O14 O 0.460 0.135 0.636
O15 O 0.670 0.527 0.637
O16 O 0.857 0.527 0.137
O17 O 0.674 0.135 0.136
O18 O 0.477 0.335 0.137
O19 O 0.464 0.274 0.028
O20 O 0.803 0.532 0.029
O21 O 0.734 0.179 0.031
O22 O 0.445 0.179 0.531
O23 O 0.729 0.532 0.529
O24 O 0.809 0.274 0.528
O25 O 0.525 0.668 0.970
O26 O 0.127 0.468 0.969
O27 O 0.337 0.860 0.971
O28 O 0.524 0.860 0.471
O29 O 0.341 0.468 0.469
O30 O 0.144 0.668 0.470
O31 O 0.131 0.607 0.361
O32 O 0.470 0.866 0.363
O33 O 0.401 0.513 0.365
O34 O 0.112 0.513 0.865
O35 O 0.396 0.866 0.863
O36 O 0.476 0.607 0.861
O37 O 0.991 0.763 0.402
O38 O 0.767 0.009 0.402
O39 O 0.250 0.231 0.405
O40 O 0.981 0.231 0.905
O41 O 0.242 0.009 0.902
O42 O 0.772 0.763 0.902
O43 O 0.928 0.128 0.592
O44 O 0.197 0.070 0.593
O45 O 0.875 0.803 0.595
O46 O 0.927 0.803 0.095
O47 O 0.874 0.070 0.093
O48 O 0.200 0.128 0.092
O49 O 0.657 0.096 0.735
O50 O 0.434 0.342 0.736
O51 O 0.917 0.565 0.739
O52 O 0.648 0.565 0.239
O53 O 0.909 0.342 0.236
O54 O 0.439 0.096 0.235
O55 O 0.595 0.462 0.925
O56 O 0.863 0.404 0.926
O57 O 0.542 0.136 0.928
O58 O 0.594 0.136 0.428
O59 O 0.540 0.404 0.426
O60 O 0.867 0.462 0.425
O61 O 0.324 0.429 0.069
O62 O 0.100 0.676 0.069
O63 O 0.584 0.898 0.072
O64 O 0.314 0.898 0.572
O65 O 0.575 0.676 0.569
O66 O 0.105 0.429 0.569
O67 O 0.262 0.795 0.259
O68 O 0.530 0.737 0.259
O69 O 0.209 0.469 0.262
O70 O 0.261 0.469 0.762
O71 O 0.207 0.737 0.759
O72 O 0.533 0.795 0.759
```

Summary:
- Size of the total moment: 0.000 μB per cell
- VASP energy: -131.8 eV/f.u.